1.
The following is a GGA+U calculation of CoH8C6N6O2 after structural relaxation, from Materials Project.

The total magnetization comes out at 1.0 μB per cell. The formation energy comes out at -2.43 eV/f.u.

abc: 6.716 7.478 7.489
angles: 58.57 63.99 63.81
Element x y z (fractional)
Co  0.500  0.000  0.000
H  0.704  0.759  0.760
H  0.296  0.241  0.240
H  0.425  0.842  0.596
H  0.410  0.604  0.846
H  0.575  0.158  0.404
H  0.590  0.396  0.154
H  0.213  0.865  0.837
H  0.787  0.135  0.163
C  0.842  0.262  0.571
C  0.842  0.570  0.263
C  0.158  0.738  0.429
C  0.158  0.430  0.737
C  0.390  0.781  0.773
C  0.610  0.219  0.227
N  0.955  0.380  0.382
N  0.045  0.620  0.618
N  0.751  0.147  0.742
N  0.751  0.741  0.147
N  0.249  0.853  0.258
N  0.249  0.259  0.853
O  0.543  0.825  0.823
O  0.457  0.175  0.177

2.
The following is a GGA+U calculation of CoH16C3N8O7 after structural relaxation, from Materials Project.

The total magnetization comes out at 2.0 μB per cell. The formation energy comes out at -23.04 eV/f.u.

abc: 8.246 8.246 10.378
angles: 67.63 67.63 83.62
Element x y z (fractional)
Co  0.923  0.073  0.006
Co  0.073  0.923  0.506
H  0.622  0.985  0.002
H  0.985  0.622  0.502
H  0.774  0.903  0.889
H  0.903  0.774  0.389
H  0.644  0.655  0.109
H  0.655  0.644  0.609
H  0.141  0.860  0.893
H  0.860  0.141  0.393
H  0.148  0.043  0.745
H  0.043  0.148  0.245
H  0.411  0.985  0.825
H  0.985  0.411  0.325
H  0.032  0.394  0.779
H  0.394  0.032  0.279
H  0.860  0.323  0.766
H  0.323  0.860  0.266
H  0.754  0.538  0.871
H  0.538  0.754  0.371
H  0.319  0.531  0.076
H  0.531  0.319  0.576
H  0.422  0.613  0.892
H  0.613  0.422  0.392
H  0.358  0.393  0.979
H  0.393  0.358  0.479
H  0.071  0.472  0.026
H  0.472  0.071  0.526
H  0.178  0.593  0.850
H  0.593  0.178  0.350
H  0.144  0.750  0.178
H  0.750  0.144  0.678
H  0.227  0.606  0.284
H  0.606  0.227  0.784
C  0.817  0.709  0.190
C  0.709  0.817  0.690
C  0.285  0.135  0.952
C  0.135  0.285  0.452
C  0.688  0.337  0.074
C  0.337  0.688  0.574
N  0.738  0.920  0.989
N  0.920  0.738  0.489
N  0.710  0.755  0.108
N  0.755  0.710  0.608
N  0.145  0.995  0.853
N  0.995  0.145  0.353
N  0.301  0.056  0.852
N  0.056  0.301  0.352
N  0.912  0.330  0.840
N  0.330  0.912  0.340
N  0.800  0.425  0.927
N  0.425  0.800  0.427
N  0.323  0.520  0.978
N  0.520  0.323  0.478
N  0.159  0.576  0.959
N  0.576  0.159  0.459
O  0.922  0.826  0.174
O  0.826  0.922  0.674
O  0.799  0.552  0.286
O  0.552  0.799  0.786
O  0.131  0.167  0.031
O  0.167  0.131  0.531
O  0.427  0.177  0.957
O  0.177  0.427  0.457
O  0.715  0.173  0.139
O  0.173  0.715  0.639
O  0.570  0.424  0.135
O  0.424  0.570  0.635
O  0.258  0.708  0.187
O  0.708  0.258  0.687

3.
The following is a GGA+U calculation of CoH22C3N6O8 after structural relaxation, from Materials Project.

The total magnetization comes out at 0.0 μB per cell. The formation energy comes out at -33.06 eV/f.u.

abc: 9.707 10.292 13.241
angles: 90.00 90.00 90.00
Element x y z (fractional)
Co  0.500  0.000  0.000
Co  0.000  0.500  0.500
Co  0.000  0.500  0.000
Co  0.500  0.000  0.500
H  0.641  0.014  0.838
H  0.359  0.986  0.838
H  0.141  0.486  0.662
H  0.859  0.514  0.662
H  0.359  0.986  0.162
H  0.641  0.014  0.162
H  0.859  0.514  0.338
H  0.141  0.486  0.338
H  0.602  0.857  0.861
H  0.398  0.143  0.861
H  0.102  0.643  0.639
H  0.898  0.357  0.639
H  0.398  0.143  0.139
H  0.602  0.857  0.139
H  0.898  0.357  0.361
H  0.102  0.643  0.361
H  0.727  0.930  0.924
H  0.273  0.070  0.924
H  0.227  0.570  0.576
H  0.773  0.430  0.576
H  0.273  0.070  0.076
H  0.727  0.930  0.076
H  0.773  0.430  0.424
H  0.227  0.570  0.424
H  0.565  0.227  0.938
H  0.435  0.773  0.938
H  0.065  0.273  0.562
H  0.935  0.727  0.562
H  0.435  0.773  0.062
H  0.565  0.227  0.062
H  0.935  0.727  0.438
H  0.065  0.273  0.438
H  0.696  0.159  0.000
H  0.304  0.841  0.000
H  0.196  0.341  0.500
H  0.804  0.659  0.500
H  0.023  0.366  0.841
H  0.977  0.634  0.841
H  0.523  0.134  0.659
H  0.477  0.866  0.659
H  0.977  0.634  0.159
H  0.023  0.366  0.159
H  0.477  0.866  0.341
H  0.523  0.134  0.341
H  0.919  0.288  0.921
H  0.081  0.712  0.921
H  0.419  0.212  0.579
H  0.581  0.788  0.579
H  0.081  0.712  0.079
H  0.919  0.288  0.079
H  0.581  0.788  0.421
H  0.419  0.212  0.421
H  0.857  0.410  0.855
H  0.143  0.590  0.855
H  0.357  0.090  0.645
H  0.643  0.910  0.645
H  0.143  0.590  0.145
H  0.857  0.410  0.145
H  0.643  0.910  0.355
H  0.357  0.090  0.355
H  0.757  0.562  0.938
H  0.243  0.438  0.938
H  0.257  0.938  0.562
H  0.743  0.062  0.562
H  0.243  0.438  0.062
H  0.757  0.562  0.062
H  0.743  0.062  0.438
H  0.257  0.938  0.438
H  0.832  0.683  0.000
H  0.168  0.317  0.000
H  0.332  0.817  0.500
H  0.668  0.183  0.500
H  0.770  0.146  0.722
H  0.230  0.854  0.722
H  0.270  0.354  0.778
H  0.730  0.646  0.778
H  0.230  0.854  0.278
H  0.770  0.146  0.278
H  0.730  0.646  0.222
H  0.270  0.354  0.222
H  0.666  0.245  0.774
H  0.334  0.755  0.774
H  0.166  0.255  0.726
H  0.834  0.745  0.726
H  0.334  0.755  0.226
H  0.666  0.245  0.226
H  0.834  0.745  0.274
H  0.166  0.255  0.274
C  0.999  0.076  0.000
C  0.001  0.924  0.000
C  0.499  0.424  0.500
C  0.501  0.576  0.500
C  0.526  0.428  0.832
C  0.474  0.572  0.832
C  0.026  0.072  0.668
C  0.974  0.928  0.668
C  0.474  0.572  0.168
C  0.526  0.428  0.168
C  0.974  0.928  0.332
C  0.026  0.072  0.332
N  0.631  0.944  0.893
N  0.369  0.056  0.893
N  0.131  0.556  0.607
N  0.869  0.444  0.607
N  0.369  0.056  0.107
N  0.631  0.944  0.107
N  0.869  0.444  0.393
N  0.131  0.556  0.393
N  0.590  0.172  0.000
N  0.410  0.828  0.000
N  0.090  0.328  0.500
N  0.910  0.672  0.500
N  0.943  0.378  0.892
N  0.057  0.622  0.892
N  0.443  0.122  0.608
N  0.557  0.878  0.608
N  0.057  0.622  0.108
N  0.943  0.378  0.108
N  0.557  0.878  0.392
N  0.443  0.122  0.392
N  0.815  0.584  0.000
N  0.185  0.416  0.000
N  0.315  0.916  0.500
N  0.685  0.084  0.500
O  0.882  0.131  0.000
O  0.118  0.869  0.000
O  0.382  0.369  0.500
O  0.618  0.631  0.500
O  0.113  0.135  0.000
O  0.887  0.865  0.000
O  0.613  0.365  0.500
O  0.387  0.635  0.500
O  0.654  0.408  0.828
O  0.346  0.592  0.828
O  0.154  0.092  0.672
O  0.846  0.908  0.672
O  0.346  0.592  0.172
O  0.654  0.408  0.172
O  0.846  0.908  0.328
O  0.154  0.092  0.328
O  0.435  0.339  0.836
O  0.565  0.661  0.836
O  0.935  0.161  0.664
O  0.065  0.839  0.664
O  0.565  0.661  0.164
O  0.435  0.339  0.164
O  0.065  0.839  0.336
O  0.935  0.161  0.336
O  0.674  0.154  0.748
O  0.326  0.846  0.748
O  0.174  0.346  0.752
O  0.826  0.654  0.752
O  0.326  0.846  0.252
O  0.674  0.154  0.252
O  0.826  0.654  0.248
O  0.174  0.346  0.248